[1]
! GGA+U Li2MnVP2H2O10, relaxed; values from VASP
! Crystal system = triclinic
! Offset from the most stable computed form = 20 meV per atom
! Uncorrected energy = -122.09 eV per formula unit
&SYSTEM
  ibrav = 0, nat = 36, ntyp = 6
/
ATOMIC_SPECIES
Li 6.94 Li.upf
Mn 54.94 Mn.upf
V 50.94 V.upf
P 30.97 P.upf
H 1.01 H.upf
O 16.00 O.upf
ATOMIC_POSITIONS angstrom
Li -1.024 2.807 1.209
Li 1.807 -0.919 3.571
Li -0.279 4.844 6.017
Li 2.552 1.118 8.379
Mn -0.901 -1.627 4.794
Mn 2.699 0.000 0.000
V -1.935 1.962 4.794
V 1.665 3.589 0.000
P -1.993 5.905 1.524
P 0.679 3.290 3.284
P 0.849 0.635 6.304
P 3.521 -1.980 8.064
H -2.324 3.733 6.504
H -0.768 2.028 7.871
H 2.297 1.896 1.717
H 3.853 0.192 3.084
O -1.972 5.359 2.958
O -1.790 -0.782 9.082
O -1.963 3.755 5.582
O -2.773 4.214 8.249
O -0.644 2.454 3.387
O -0.605 6.624 1.397
O -0.391 1.542 6.023
O -1.090 1.951 8.792
O 0.891 -0.561 5.340
O 0.696 3.758 1.815
O 0.832 0.167 7.773
O 0.638 4.486 4.248
O 2.618 1.974 0.796
O 1.920 2.383 3.564
O 2.133 -2.699 8.191
O 2.173 1.471 6.200
O 4.301 -0.290 1.339
O 3.491 0.170 4.005
O 3.318 4.706 0.506
O 3.501 -1.434 6.629
CELL_PARAMETERS angstrom
5.398 0.000 0.000
-2.067 7.178 0.000
-1.802 -3.253 9.588

---

[2]
! GGA+U Li3MnVP2H2O10, relaxed; values from VASP
! Uncorrected energy = -126.70 eV per formula unit
&SYSTEM
  ibrav = 0, nat = 38, ntyp = 6
/
ATOMIC_SPECIES
Li 6.94 Li.upf
Mn 54.94 Mn.upf
V 50.94 V.upf
P 30.97 P.upf
H 1.01 H.upf
O 16.00 O.upf
ATOMIC_POSITIONS angstrom
Li 7.611 -4.726 -0.852
Li 3.932 -5.041 3.058
Li 6.046 -6.474 -0.127
Li 6.164 -1.155 1.119
Li 0.201 -3.017 0.723
Li 0.083 -8.335 -0.522
Mn -0.072 -5.320 -1.189
Mn 3.608 -5.006 -5.099
V 3.286 -4.645 0.256
V -0.393 -4.959 4.167
P 2.612 -6.912 -2.237
P 2.731 -1.593 -0.992
P 4.005 -2.391 2.900
P 3.887 -7.710 1.654
H 4.715 -4.930 -2.763
H 1.035 -5.246 1.145
H 1.797 -4.235 3.450
H 5.475 -3.920 -0.460
O 5.340 -4.625 0.208
O 1.662 -4.939 4.119
O 3.354 -5.927 -1.305
O -0.325 -6.242 2.606
O 3.363 -0.966 2.883
O 3.244 -6.285 1.638
O 2.699 -6.397 -3.714
O -0.980 -6.710 0.195
O 1.085 -6.998 -1.904
O 1.204 -1.679 -0.658
O 5.509 -2.284 2.526
O 5.390 -7.603 1.280
O 3.794 -2.916 4.334
O 7.473 -2.603 0.424
O 3.283 -8.305 -2.245
O 3.402 -2.986 -1.001
O 3.328 -3.438 1.959
O 7.006 -3.123 -1.951
O 1.290 -4.666 0.395
O 4.969 -4.352 -3.515
CELL_PARAMETERS angstrom
-3.797 -5.633 2.664
3.560 -5.004 -5.156
6.816 1.336 3.110

---

[3]
! GGA+U LiMnVP2H2O10, relaxed; values from VASP
! Crystal system = triclinic
! Offset from the most stable computed form = 3 meV per atom
! Uncorrected energy = -116.62 eV per formula unit
&SYSTEM
  ibrav = 0, nat = 51, ntyp = 6
/
ATOMIC_SPECIES
Li 6.94 Li.upf
Mn 54.94 Mn.upf
V 50.94 V.upf
P 30.97 P.upf
H 1.01 H.upf
O 16.00 O.upf
ATOMIC_POSITIONS angstrom
Li 0.000 0.000 0.000
Li -0.954 3.046 2.944
Li 3.122 0.131 6.036
Mn -0.798 5.579 1.481
Mn 1.093 1.593 4.491
Mn 2.931 -2.407 7.494
V -0.989 1.649 7.494
V 3.194 1.519 1.471
V 4.415 5.621 4.485
P 0.427 2.800 0.202
P -0.182 4.356 5.758
P 2.336 -1.184 3.218
P 1.754 0.377 8.778
P 3.585 2.919 6.223
P 5.966 0.253 2.747
H -0.819 0.314 5.351
H 1.220 6.747 0.656
H 0.370 4.422 8.370
H 2.998 2.847 3.622
H 4.523 4.393 2.285
H 4.969 -1.230 6.699
O -1.336 5.387 5.458
O -1.539 -0.243 7.974
O -0.151 1.139 3.069
O 0.168 3.662 1.423
O 0.489 6.342 0.118
O -0.213 0.932 5.838
O -0.007 3.439 4.562
O 0.387 6.118 2.909
O -0.577 3.546 7.056
O 1.538 1.717 0.488
O 0.586 1.394 8.485
O 2.736 -0.372 1.922
O 1.103 5.138 6.058
O 2.161 -0.271 4.417
O 2.389 2.229 3.134
O 1.650 -3.052 8.850
O 2.015 -0.479 7.551
O 2.321 2.064 5.936
O 3.683 3.403 0.998
O 2.819 5.872 3.520
O 4.855 1.335 2.460
O 3.937 3.709 4.913
O 5.352 5.065 0.075
O 4.243 -1.632 6.150
O 3.416 3.851 7.405
O 5.252 4.796 2.827
O 6.226 -0.613 1.528
O 4.205 -1.959 8.911
O 5.591 -0.566 4.024
O 4.678 1.825 6.519
CELL_PARAMETERS angstrom
7.352 0.000 0.000
-0.669 8.091 0.000
-2.344 -3.869 9.044

---

[4]
! GGA+U Li2MnVP2H2O10, relaxed; values from VASP
! Crystal system = triclinic
! Offset from the most stable computed form = 14 meV per atom
! Uncorrected energy = -122.21 eV per formula unit
&SYSTEM
  ibrav = 0, nat = 36, ntyp = 6
/
ATOMIC_SPECIES
Li 6.94 Li.upf
Mn 54.94 Mn.upf
V 50.94 V.upf
P 30.97 P.upf
H 1.01 H.upf
O 16.00 O.upf
ATOMIC_POSITIONS angstrom
Li -0.666 2.061 1.410
Li 0.563 4.291 2.607
Li 2.593 1.843 5.461
Li 3.822 4.072 6.658
Mn -1.887 3.067 4.034
Mn 3.465 0.000 0.000
V -0.240 -0.194 4.034
V 1.818 3.261 0.000
P -2.372 4.723 1.259
P 2.285 1.619 2.781
P 0.871 4.514 5.287
P 5.528 1.411 6.809
H -1.583 5.178 5.233
H 1.091 0.679 6.886
H 2.066 5.455 1.182
H 4.740 0.955 2.835
O -0.479 0.500 5.953
O -2.426 4.778 4.874
O -1.362 3.943 2.129
O -1.661 5.502 0.126
O -0.509 2.440 7.568
O 0.044 3.497 4.454
O 1.463 0.846 3.853
O 1.328 2.403 1.820
O 1.929 1.086 7.235
O -0.063 5.454 6.065
O 3.220 0.680 2.003
O 1.227 5.048 0.833
O 1.828 3.731 6.248
O 1.693 5.288 4.215
O 3.112 2.637 3.614
O 3.665 3.693 0.500
O 4.818 0.632 7.941
O 4.518 2.191 5.939
O 5.583 1.356 3.194
O 3.635 5.634 2.115
CELL_PARAMETERS angstrom
6.930 0.000 0.000
-3.294 6.522 0.000
-0.480 -0.388 8.068

---

[5]
! GGA+U LiMnVP2H2O10, relaxed; values from VASP
! Crystal system = triclinic
! Offset from the most stable computed form = 2 meV per atom
! Uncorrected energy = -116.63 eV per formula unit
&SYSTEM
  ibrav = 0, nat = 51, ntyp = 6
/
ATOMIC_SPECIES
Li 6.94 Li.upf
Mn 54.94 Mn.upf
V 50.94 V.upf
P 30.97 P.upf
H 1.01 H.upf
O 16.00 O.upf
ATOMIC_POSITIONS angstrom
Li 0.000 0.000 0.000
Li 2.471 7.600 3.734
Li 5.785 5.640 7.302
Mn 4.543 3.649 9.005
Mn 4.711 7.521 1.873
Mn 8.041 5.544 5.419
V 2.950 8.328 7.244
V 3.007 4.774 0.086
V 6.278 2.825 3.673
P 1.886 1.966 1.536
P 3.902 3.696 5.789
P 5.356 7.470 5.126
P 7.209 1.771 9.335
P 8.668 5.520 8.667
P 7.380 5.617 2.188
H 4.361 6.128 9.191
H 4.882 8.599 8.838
H 4.501 2.544 1.896
H 4.765 5.037 1.864
H 7.851 8.045 5.605
H 8.113 3.087 5.404
O 2.852 6.741 8.466
O 1.133 2.126 2.901
O 1.549 5.883 3.332
O 0.926 1.725 0.381
O 1.332 5.433 0.820
O 2.956 2.464 6.024
O 3.903 1.699 8.718
O 3.039 4.958 5.604
O 2.747 0.691 1.787
O 5.193 5.594 9.301
O 2.838 3.176 1.285
O 4.606 7.640 6.504
O 4.876 3.915 6.938
O 4.364 7.321 3.992
O 4.679 3.461 4.451
O 6.388 7.997 9.556
O 6.352 3.034 9.175
O 4.064 5.633 1.493
O 6.204 6.189 5.348
O 5.204 1.946 2.256
O 6.193 1.218 4.895
O 7.889 5.732 10.008
O 8.209 1.906 10.466
O 7.679 5.411 7.522
O 7.987 1.528 7.984
O 6.425 4.411 2.452
O 7.404 3.680 5.049
O 6.520 6.890 1.928
O 9.529 4.254 8.818
O 8.677 7.496 5.726
CELL_PARAMETERS angstrom
6.794 0.000 0.000
0.149 7.442 0.000
3.301 1.637 10.704

---

[6]
! GGA+U Li2MnVP2H2O10, relaxed; values from VASP
! Crystal system = triclinic
! Offset from the most stable computed form = 15 meV per atom
! Uncorrected energy = -122.18 eV per formula unit
&SYSTEM
  ibrav = 0, nat = 54, ntyp = 6
/
ATOMIC_SPECIES
Li 6.94 Li.upf
Mn 54.94 Mn.upf
V 50.94 V.upf
P 30.97 P.upf
H 1.01 H.upf
O 16.00 O.upf
ATOMIC_POSITIONS angstrom
Li 0.000 0.000 0.000
Li 1.882 7.272 0.654
Li 3.894 7.823 6.719
Li 3.891 5.063 7.406
Li 4.656 3.905 3.361
Li 4.664 1.177 4.017
Mn 0.946 3.623 0.319
Mn 1.945 2.539 3.704
Mn 4.607 8.635 0.325
V 2.946 1.445 7.064
V 5.590 7.555 3.689
V 6.605 6.447 7.064
P 2.835 9.383 2.974
P 2.919 5.701 4.415
P 4.842 7.184 9.714
P 3.729 1.802 1.043
P 5.613 3.284 6.344
P 7.601 9.604 7.776
H 1.330 4.667 2.649
H 1.807 4.288 8.126
H 3.334 2.485 9.387
H 4.449 10.411 4.743
H 5.973 8.597 5.994
H 5.218 6.500 1.368
O 1.019 3.744 2.438
O 1.381 2.768 7.176
O 1.722 6.215 3.574
O 2.117 5.205 8.346
O 0.979 0.932 2.931
O 3.519 9.925 7.070
O 2.861 8.800 1.536
O 2.864 6.281 5.868
O 2.216 5.132 0.266
O 2.904 4.154 4.476
O 3.014 1.567 9.157
O 4.041 8.871 3.810
O 2.549 2.280 0.182
O 2.879 1.326 4.966
O 4.836 8.731 9.659
O 4.274 6.031 3.733
O 4.914 6.610 8.261
O 3.698 2.378 2.477
O 4.260 2.965 7.054
O 3.722 0.249 1.089
O 5.670 7.683 5.762
O 4.780 4.984 0.478
O 6.398 10.122 6.948
O 5.540 7.417 1.591
O 5.643 4.833 6.302
O 5.624 2.711 4.907
O 5.113 2.124 0.355
O 7.585 10.175 9.219
O 6.924 9.059 3.680
O 7.570 8.057 7.815
CELL_PARAMETERS angstrom
5.436 0.000 0.000
1.892 9.999 0.000
1.233 1.716 10.101

---

[7]
! GGA+U LiMnVP2H2O10, relaxed; values from VASP
! Crystal system = triclinic
! Offset from the most stable computed form = 4 meV per atom
! Uncorrected energy = -116.60 eV per formula unit
&SYSTEM
  ibrav = 0, nat = 34, ntyp = 6
/
ATOMIC_SPECIES
Li 6.94 Li.upf
Mn 54.94 Mn.upf
V 50.94 V.upf
P 30.97 P.upf
H 1.01 H.upf
O 16.00 O.upf
ATOMIC_POSITIONS angstrom
Li -0.259 -0.002 2.924
Li 2.075 3.533 6.987
Mn 0.000 0.000 0.000
Mn 0.908 1.766 4.955
V -1.283 3.464 0.000
V 2.191 -1.698 4.955
P -1.707 0.837 6.728
P 0.012 5.944 1.773
P 1.803 -2.413 8.137
P 3.523 2.694 3.182
H -0.019 -0.538 5.264
H 0.097 -1.141 9.733
H 1.718 4.672 0.177
H 1.835 4.069 4.646
O -1.360 0.496 8.209
O -1.649 4.040 3.998
O 0.038 1.975 0.145
O -0.381 1.930 3.274
O -1.888 3.579 8.646
O -0.568 1.705 6.156
O 1.212 -0.324 1.744
O 0.782 -0.287 4.731
O 0.054 4.626 0.939
O 1.367 -2.127 6.647
O 0.449 5.658 3.263
O 1.762 -1.095 8.971
O 1.033 3.819 5.179
O 0.604 3.855 8.167
O 2.384 1.826 3.754
O 3.703 -0.048 1.264
O 2.197 1.601 6.636
O 1.777 1.556 9.765
O 3.464 -0.509 5.912
O 3.176 3.035 1.701
CELL_PARAMETERS angstrom
5.222 0.000 0.000
-2.567 6.928 0.000
-0.840 -3.397 9.910

---

[8]
! GGA+U Li2MnVP2H2O10, relaxed; values from VASP
! Crystal system = triclinic
! Offset from the most stable computed form = 15 meV per atom
! Uncorrected energy = -122.19 eV per formula unit
&SYSTEM
  ibrav = 0, nat = 36, ntyp = 6
/
ATOMIC_SPECIES
Li 6.94 Li.upf
Mn 54.94 Mn.upf
V 50.94 V.upf
P 30.97 P.upf
H 1.01 H.upf
O 16.00 O.upf
ATOMIC_POSITIONS angstrom
Li 0.000 0.000 0.000
Li 0.016 2.685 0.768
Li 0.889 1.774 4.790
Li 0.894 4.524 5.531
Mn -0.831 5.740 2.788
Mn 2.753 1.359 0.380
V -1.851 3.141 5.150
V 2.569 0.539 7.556
P -0.885 0.723 3.050
P -0.238 -1.398 7.297
P -0.097 2.519 7.829
P 1.811 3.773 2.488
H -0.457 5.945 0.267
H 1.374 -1.403 5.274
H 2.950 0.738 5.044
H 3.394 3.726 0.505
O -2.797 4.173 6.588
O -0.883 2.122 3.743
O -0.232 -1.591 8.823
O 0.492 0.125 3.503
O -1.297 1.678 8.316
O 1.813 -0.318 0.917
O -0.894 4.866 4.620
O -0.150 2.722 6.279
O 0.971 -0.558 6.814
O 0.419 4.367 2.105
O 1.794 2.375 1.802
O -0.090 3.914 8.514
O 1.267 1.900 8.252
O 1.908 3.565 4.040
O 3.404 -0.103 3.574
O 2.662 1.430 5.709
O 2.507 -0.344 9.436
O 2.977 4.609 1.955
O 4.546 0.915 1.519
O 3.877 -0.779 6.822
CELL_PARAMETERS angstrom
5.469 0.000 0.000
-2.570 6.956 0.000
-1.188 -3.371 9.584

---

[9]
! GGA+U LiMnVP2H2O10, relaxed; values from VASP
! Crystal system = triclinic
! Offset from the most stable computed form = 3 meV per atom
! Uncorrected energy = -116.62 eV per formula unit
&SYSTEM
  ibrav = 0, nat = 34, ntyp = 6
/
ATOMIC_SPECIES
Li 6.94 Li.upf
Mn 54.94 Mn.upf
V 50.94 V.upf
P 30.97 P.upf
H 1.01 H.upf
O 16.00 O.upf
ATOMIC_POSITIONS angstrom
Li -0.253 2.024 2.122
Li 2.088 2.302 7.466
Mn 0.000 0.000 0.000
Mn 0.917 2.163 4.794
V -0.358 -0.370 7.190
V 2.193 4.696 2.398
P -1.699 4.040 5.393
P -0.748 2.396 8.981
P 2.583 1.930 0.608
P 3.534 0.286 4.196
H -0.807 5.428 1.467
H -0.002 4.024 3.437
H 1.837 0.302 6.151
H 2.641 -1.102 8.121
O -1.714 5.838 1.490
O -1.710 4.429 3.879
O -0.391 0.885 3.725
O -1.882 3.413 8.712
O -1.157 1.155 8.110
O 0.380 -1.801 6.231
O -0.551 3.049 5.645
O 1.215 1.414 1.020
O 0.856 4.836 0.917
O 0.804 3.473 3.230
O 1.031 0.853 6.359
O 0.979 -0.511 8.671
O 0.620 2.912 8.568
O 2.386 1.277 3.943
O 1.455 6.126 3.357
O 2.991 3.171 1.478
O 3.717 0.913 0.876
O 2.226 3.440 5.863
O 3.545 -0.103 5.709
O 3.548 -1.512 8.098
CELL_PARAMETERS angstrom
5.244 0.000 0.000
-1.770 7.136 0.000
-1.640 -2.810 9.589

---

Values for ΔE_f, kJ/mol of formula units, ordered as above
-4165.4 -4426.4 -3821.8 -4176.8 -3822.8 -4173.8 -3819.6 -4175.2 -3822.3
Values for spin magnetization, μB/f.u., ordered as above
6.0 0.0 5.0 6.0 5.0 6.0 5.0 6.0 5.0